Entry 1:
RuRh3 after structural relaxation, computed with PBE.

Structure (CIF):
```
data_RuRh3
_cell_length_a 5.4769
_cell_length_b 5.4769
_cell_length_c 4.3710
_cell_angle_alpha 90.00
_cell_angle_beta 90.00
_cell_angle_gamma 120.00
_space_group_name_H-M_alt 'P 63/m m c'
_space_group_IT_number 194
_space_group_name_Hall '-P 6c 2c'
loop_
_atom_site_label
_atom_site_fract_x
_atom_site_fract_y
_atom_site_fract_z
Ru1 0.3333 0.6667 0.2500
Rh1 0.1675 0.3349 0.7500
```

- VASP energy (eV per atom) = -7.794
- DFT formation energy (eV per atom) = 0.048

Entry 2:
Na5In4P5SO24 after structural relaxation, computed with PBE.

Structure (CIF):
```
data_Na5In4P5SO24
_cell_length_a 9.077
_cell_length_b 9.079
_cell_length_c 22.753
_cell_angle_alpha 89.77
_cell_angle_beta 89.79
_cell_angle_gamma 60.10
_space_group_name_H-M_alt 'P 1'
_space_group_IT_number 1
loop_
_space_group_symop_operation_xyz
'x,y,z'
loop_
_atom_site_label
_atom_site_fract_x
_atom_site_fract_y
_atom_site_fract_z
Na1 0.000 0.000 0.000
Na2 0.000 0.349 0.249
Na3 0.019 0.676 0.168
Na4 0.295 0.393 0.669
Na5 0.305 0.712 0.584
Na6 0.329 0.061 0.835
Na7 0.346 0.693 0.085
Na8 0.353 0.009 0.501
Na9 0.634 0.728 0.001
Na10 0.647 0.066 0.917
Na11 0.659 0.063 0.419
Na12 0.693 0.696 0.331
Na13 0.967 0.696 0.833
Na14 0.969 0.058 0.335
Na15 0.974 0.366 0.751
In1 0.002 0.362 0.600
In2 0.006 0.362 0.402
In3 0.324 0.690 0.434
In4 0.328 0.707 0.734
In5 0.331 0.689 0.933
In6 0.334 0.699 0.235
In7 0.658 0.038 0.267
In8 0.660 0.033 0.069
In9 0.670 0.026 0.766
In10 0.676 0.025 0.568
In11 0.992 0.360 0.100
In12 0.995 0.364 0.902
P1 0.029 0.999 0.836
P2 0.030 0.697 0.331
P3 0.297 0.064 0.999
P4 0.302 0.363 0.504
P5 0.331 0.397 0.831
P6 0.332 0.994 0.337
P7 0.367 0.029 0.666
P8 0.629 0.401 0.335
P9 0.629 0.696 0.835
P10 0.664 0.729 0.167
P11 0.697 0.365 0.001
P12 0.966 0.030 0.168
P13 0.967 0.727 0.669
P14 0.998 0.065 0.499
P15 0.998 0.662 0.002
S1 0.361 0.334 0.167
S2 0.663 0.332 0.667
S3 0.696 0.663 0.500
O1 0.001 0.544 0.339
O2 0.013 0.177 0.840
O3 0.018 0.560 0.059
O4 0.023 0.158 0.551
O5 0.104 0.893 0.893
O6 0.114 0.733 0.383
O7 0.130 0.670 0.273
O8 0.140 0.860 0.171
O9 0.148 0.913 0.784
O10 0.152 0.696 0.670
O11 0.153 0.691 0.998
O12 0.166 0.384 0.836
O13 0.166 0.889 0.497
O14 0.171 0.172 0.340
O15 0.177 0.154 0.051
O16 0.186 0.355 0.164
O17 0.187 0.193 0.664
O18 0.203 0.386 0.563
O19 0.211 0.335 0.452
O20 0.225 0.160 0.940
O21 0.297 0.909 0.284
O22 0.307 0.502 0.774
O23 0.315 0.883 0.997
O24 0.326 0.519 0.498
O25 0.340 0.508 0.170
O26 0.350 0.869 0.670
O27 0.355 0.480 0.886
O28 0.363 0.887 0.394
O29 0.439 0.235 0.221
O30 0.452 0.057 0.721
O31 0.460 0.253 0.114
O32 0.468 0.016 0.609
O33 0.479 0.038 0.005
O34 0.479 0.194 0.506
O35 0.484 0.213 0.827
O36 0.495 0.007 0.329
O37 0.505 0.500 0.672
O38 0.509 0.702 0.171
O39 0.520 0.526 0.995
O40 0.522 0.686 0.499
O41 0.525 0.480 0.391
O42 0.526 0.723 0.893
O43 0.542 0.673 0.781
O44 0.549 0.512 0.280
O45 0.638 0.251 0.615
O46 0.642 0.862 0.830
O47 0.644 0.833 0.111
O48 0.659 0.217 0.330
O49 0.676 0.837 0.503
O50 0.682 0.202 0.008
O51 0.684 0.818 0.223
O52 0.690 0.230 0.721
O53 0.773 0.402 0.056
O54 0.784 0.560 0.552
O55 0.790 0.587 0.444
O56 0.810 0.384 0.339
O57 0.813 0.327 0.947
O58 0.813 0.356 0.662
O59 0.813 0.544 0.839
O60 0.834 0.842 0.005
O61 0.835 0.555 0.165
O62 0.842 0.039 0.505
O63 0.849 0.859 0.328
O64 0.853 0.011 0.830
O65 0.861 0.051 0.225
O66 0.875 0.804 0.728
O67 0.878 0.009 0.113
O68 0.879 0.840 0.616
O69 0.973 0.580 0.947
O70 0.974 0.164 0.440
O71 0.982 0.548 0.664
O72 0.995 0.184 0.164
```

- VASP energy (eV per atom) = -6.314
- magnetic moment (Bohr magnetons per cell) = 0.00
- DFT formation energy (eV per atom) = -2.440

Entry 3:
HfMnIr2 after structural relaxation, computed with PBE.

Structure (CIF):
```
data_HfMnIr2
_cell_length_a 6.358
_cell_length_b 6.358
_cell_length_c 6.358
_cell_angle_alpha 90.00
_cell_angle_beta 90.00
_cell_angle_gamma 90.00
_space_group_name_H-M_alt 'F m -3 m'
_space_group_IT_number 225
_space_group_name_Hall '-F 4 2 3'
loop_
_atom_site_label
_atom_site_fract_x
_atom_site_fract_y
_atom_site_fract_z
Hf1 0.000 0.000 0.000
Mn1 0.000 0.000 0.500
Ir1 0.250 0.250 0.250
```

- VASP energy (eV per atom) = -9.822
- magnetic moment (Bohr magnetons per cell) = 19.60
- DFT formation energy (eV per atom) = -0.623

Entry 4:
Pr3Ga10Ni after structural relaxation, computed with PBE.

Structure (CIF):
```
data_Pr3Ga10Ni
_cell_length_a 4.268
_cell_length_b 4.320
_cell_length_c 15.399
_cell_angle_alpha 90.00
_cell_angle_beta 90.00
_cell_angle_gamma 90.00
_space_group_name_H-M_alt 'P m m m'
_space_group_IT_number 47
loop_
_space_group_symop_operation_xyz
'x,y,z'
'-x,-y,-z'
'-x,-y,z'
'x,y,-z'
'x,-y,-z'
'-x,y,z'
'-x,y,-z'
'x,-y,z'
loop_
_atom_site_label
_atom_site_fract_x
_atom_site_fract_y
_atom_site_fract_z
Pr1 0.000 0.000 0.000
Pr2 0.000 0.500 0.253
Ga1 0.000 0.000 0.416
Ga2 0.500 0.000 0.158
Ga3 0.500 0.000 0.317
Ga4 0.500 0.500 0.081
Ga5 0.500 0.500 0.415
Ni1 0.000 0.500 0.500
```

- VASP energy (eV per atom) = -4.157
- DFT formation energy (eV per atom) = -0.556

Entry 5:
Nd3ReO7 after structural relaxation, computed with PBE.

Structure (CIF):
```
data_Nd3ReO7
_cell_length_a 10.982
_cell_length_b 7.522
_cell_length_c 7.645
_cell_angle_alpha 90.00
_cell_angle_beta 90.00
_cell_angle_gamma 90.00
_space_group_name_H-M_alt 'C m c m'
_space_group_IT_number 63
_space_group_name_Hall '-C 2c 2'
loop_
_atom_site_label
_atom_site_fract_x
_atom_site_fract_y
_atom_site_fract_z
Nd1 0.000 0.000 0.000
Nd2 0.223 0.301 0.250
Re1 0.000 0.500 0.000
O1 0.000 0.422 0.250
O2 0.126 0.314 0.537
O3 0.132 0.024 0.250
```

- VASP energy (eV per atom) = -8.382
- magnetic moment (Bohr magnetons per cell) = 8.01
- DFT formation energy (eV per atom) = -3.239

Entry 6:
MgSi2 after structural relaxation, computed with PBE.

Structure (CIF):
```
data_MgSi2
_cell_length_a 4.535
_cell_length_b 6.228
_cell_length_c 8.196
_cell_angle_alpha 98.43
_cell_angle_beta 105.01
_cell_angle_gamma 91.17
_space_group_name_H-M_alt 'P 1'
_space_group_IT_number 1
loop_
_space_group_symop_operation_xyz
'x,y,z'
loop_
_atom_site_label
_atom_site_fract_x
_atom_site_fract_y
_atom_site_fract_z
Mg1 0.000 0.000 0.000
Mg2 0.080 0.827 0.422
Mg3 0.308 0.425 0.618
Mg4 0.493 0.311 0.987
Si1 0.039 0.591 0.092
Si2 0.104 0.320 0.281
Si3 0.412 0.862 0.812
Si4 0.545 0.760 0.103
Si5 0.614 0.118 0.290
Si6 0.637 0.048 0.585
Si7 0.860 0.719 0.690
Si8 0.906 0.360 0.804
```

- VASP energy (eV per atom) = -3.967
- magnetic moment (Bohr magnetons per cell) = 0.01
- energy above the most stable polymorph in this dataset (eV/atom) = 0.153
- DFT formation energy (eV per atom) = 0.231